No. 1
Here is crystalline CaMg14Ga at its relaxed geometry from the Materials Project database. Energies are from PBE-GGA.

Values from the calculation:
Energy of formation from the pure elements = -0.39 eV/f.u.
Space group = Amm2
Total magnetic moment = 0.000 μB/f.u.
Density = 2.00 g/cm3

Cell lengths 6.443, 6.341, 10.502 Å; angles 90.00, 90.00, 119.48 degrees
Atoms (fractional coordinates):
Ca1 0.157 0.329 0.125
Mg1 0.168 0.334 0.625
Mg2 0.162 0.831 0.625
Mg3 0.656 0.322 0.125
Mg4 0.666 0.337 0.625
Mg5 0.656 0.834 0.125
Mg6 0.666 0.829 0.625
Mg7 0.335 0.163 0.382
Mg8 0.335 0.163 0.868
Mg9 0.335 0.672 0.382
Mg10 0.335 0.672 0.868
Mg11 0.830 0.165 0.386
Mg12 0.830 0.165 0.864
Mg13 0.840 0.670 0.366
Mg14 0.840 0.670 0.884
Ga1 0.188 0.844 0.125


No. 2
Here is crystalline SmMn2Ni3 at its relaxed geometry from the Materials Project database. Energies are from PBE-GGA.

Values from the calculation:
Energy of formation from the pure elements = -1.02 eV/f.u.
Space group = P6/mmm
Total magnetic moment = 7.830 μB/f.u.
Density = 8.20 g/cm3

Cell lengths 5.054, 5.054, 3.996 Å; angles 90.00, 90.00, 120.00 degrees
Atoms (fractional coordinates):
Sm1 0.000 0.000 0.000
Mn1 0.667 0.333 0.000
Mn2 0.333 0.667 0.000
Ni1 0.500 0.500 0.500
Ni2 0.500 0.000 0.500
Ni3 0.000 0.500 0.500


No. 3
Here is crystalline Ti3CoS6 at its relaxed geometry from the Materials Project database. Energies are from PBE-GGA.

Values from the calculation:
Energy of formation from the pure elements = -14.35 eV/f.u.
Space group = P6_322
Total magnetic moment = 0.020 μB/f.u.
Density = 3.99 g/cm3

Cell lengths 5.760, 5.760, 11.438 Å; angles 90.00, 90.00, 120.00 degrees
Atoms (fractional coordinates):
Ti1 0.000 0.000 0.000
Ti2 0.000 0.000 0.500
Ti3 0.333 0.667 0.505
Ti4 0.667 0.333 0.005
Ti5 0.667 0.333 0.495
Ti6 0.333 0.667 0.995
Co1 0.333 0.667 0.250
Co2 0.667 0.333 0.750
S1 0.330 0.988 0.131
S2 0.012 0.342 0.131
S3 0.670 0.012 0.631
S4 0.988 0.330 0.869
S5 0.658 0.670 0.131
S6 0.988 0.658 0.631
S7 0.342 0.012 0.869
S8 0.012 0.670 0.369
S9 0.342 0.330 0.631
S10 0.658 0.988 0.369
S11 0.670 0.658 0.869
S12 0.330 0.342 0.369